Below is crystalline LiTiV2CrO10 at its relaxed geometry, with properties calculated at the GGA+U level.

a = 4.877 Å, b = 6.601 Å, c = 6.603 Å
α = 90.76°, β = 92.31°, γ = 92.09°
Positions (direct):
1 Li 0.000 0.000 0.000
2 Ti 0.505 0.256 0.753
3 V 0.402 0.764 0.758
4 V 0.612 0.251 0.245
5 Cr 0.507 0.756 0.252
6 O 0.273 0.030 0.766
7 O 0.279 0.222 0.216
8 O 0.282 0.771 0.045
9 O 0.323 0.492 0.762
10 O 0.332 0.765 0.473
11 O 0.685 0.536 0.244
12 O 0.691 0.247 0.518
13 O 0.732 0.964 0.239
14 O 0.735 0.794 0.790
15 O 0.738 0.241 0.978

Output
SG = P1
total energy = -7.365 eV/atom
ΔE_f = -35.6 eV/f.u.
relative energy among the computed polymorphs = 0.0 kJ per mole of atoms

Below is crystalline LiVO2F2 at its relaxed geometry, with properties calculated at the GGA+U level.

a = 5.966 Å, b = 5.959 Å, c = 8.291 Å
α = 90.00°, β = 90.43°, γ = 90.00°
Positions (direct):
1 Li 0.248 0.000 0.367
2 Li 0.251 0.497 0.137
3 Li 0.749 0.497 0.863
4 Li 0.752 0.000 0.633
5 V 0.000 0.003 0.000
6 V 0.000 0.516 0.500
7 V 0.267 0.215 0.766
8 V 0.733 0.215 0.234
9 O 0.011 0.454 0.707
10 O 0.016 0.022 0.777
11 O 0.230 0.219 0.985
12 O 0.461 0.027 0.732
13 O 0.539 0.027 0.268
14 O 0.770 0.219 0.015
15 O 0.984 0.022 0.223
16 O 0.989 0.454 0.293
17 F 0.210 0.770 0.026
18 F 0.220 0.725 0.485
19 F 0.230 0.252 0.513
20 F 0.458 0.464 0.767
21 F 0.542 0.464 0.233
22 F 0.770 0.252 0.487
23 F 0.780 0.725 0.515
24 F 0.790 0.770 0.974

Output
SG = P2
total energy = -6.095 eV/atom
ΔE_f = -15.9 eV/f.u.
relative energy among the computed polymorphs = 7.2 kJ per mole of atoms

Below is crystalline Li2Ti3MnO8 at its relaxed geometry, with properties calculated at the GGA+U level.

a = 5.968 Å, b = 10.338 Å, c = 9.936 Å
α = 90.00°, β = 90.00°, γ = 90.00°
Positions (direct):
1 Li 0.000 0.333 0.889
2 Li 0.500 0.833 0.889
3 Li 0.500 0.167 0.389
4 Li 0.000 0.667 0.389
5 Li 0.000 0.000 0.999
6 Li 0.500 0.500 0.999
7 Li 0.000 0.000 0.499
8 Li 0.500 0.500 0.499
9 Ti 0.753 0.416 0.216
10 Ti 0.253 0.916 0.216
11 Ti 0.000 0.168 0.216
12 Ti 0.500 0.668 0.216
13 Ti 0.247 0.416 0.216
14 Ti 0.747 0.916 0.216
15 Ti 0.253 0.084 0.716
16 Ti 0.753 0.584 0.716
17 Ti 0.500 0.332 0.716
18 Ti 0.000 0.832 0.716
19 Ti 0.747 0.084 0.716
20 Ti 0.247 0.584 0.716
21 Mn 0.500 0.833 0.497
22 Mn 0.000 0.667 0.997
23 Mn 0.000 0.333 0.497
24 Mn 0.500 0.167 0.997
25 O 0.000 0.333 0.106
26 O 0.500 0.833 0.106
27 O 0.500 0.167 0.606
28 O 0.000 0.667 0.606
29 O 0.000 0.000 0.316
30 O 0.500 0.500 0.316
31 O 0.000 0.000 0.816
32 O 0.500 0.500 0.816
33 O 0.732 0.423 0.609
34 O 0.233 0.923 0.609
35 O 0.000 0.155 0.609
36 O 0.500 0.655 0.609
37 O 0.232 0.078 0.109
38 O 0.732 0.578 0.109
39 O 0.267 0.423 0.609
40 O 0.768 0.923 0.609
41 O 0.500 0.345 0.109
42 O 0.000 0.845 0.109
43 O 0.768 0.078 0.109
44 O 0.267 0.578 0.109
45 O 0.775 0.258 0.325
46 O 0.275 0.758 0.325
47 O 0.000 0.484 0.325
48 O 0.500 0.984 0.325
49 O 0.225 0.258 0.325
50 O 0.725 0.758 0.325
51 O 0.275 0.242 0.825
52 O 0.775 0.742 0.825
53 O 0.500 0.016 0.825
54 O 0.000 0.516 0.825
55 O 0.725 0.242 0.825
56 O 0.225 0.742 0.825

Output
total energy = -7.992 eV/atom
ΔE_f = -42.8 eV/f.u.
relative energy among the computed polymorphs = 3.2 kJ per mole of atoms

Below is crystalline Na3Co2Ge3O12 at its relaxed geometry, with properties calculated at the GGA+U level.

a = 10.502 Å, b = 10.502 Å, c = 10.502 Å
α = 109.47°, β = 109.47°, γ = 109.47°
Positions (direct):
1 Na 0.125 0.250 0.375
2 Na 0.125 0.375 0.750
3 Na 0.250 0.375 0.125
4 Na 0.250 0.875 0.625
5 Na 0.375 0.125 0.250
6 Na 0.375 0.750 0.125
7 Na 0.625 0.250 0.875
8 Na 0.625 0.875 0.750
9 Na 0.750 0.125 0.375
10 Na 0.750 0.625 0.875
11 Na 0.875 0.625 0.250
12 Na 0.875 0.750 0.625
13 Co 0.000 0.000 0.000
14 Co 0.000 0.000 0.500
15 Co 0.000 0.500 0.000
16 Co 0.000 0.500 0.500
17 Co 0.500 0.000 0.000
18 Co 0.500 0.000 0.500
19 Co 0.500 0.500 0.000
20 Co 0.500 0.500 0.500
21 Ge 0.125 0.750 0.875
22 Ge 0.125 0.875 0.250
23 Ge 0.250 0.125 0.875
24 Ge 0.250 0.625 0.375
25 Ge 0.375 0.250 0.625
26 Ge 0.375 0.625 0.750
27 Ge 0.625 0.375 0.250
28 Ge 0.625 0.750 0.375
29 Ge 0.750 0.375 0.625
30 Ge 0.750 0.875 0.125
31 Ge 0.875 0.125 0.750
32 Ge 0.875 0.250 0.125
33 O 0.015 0.193 0.111
34 O 0.015 0.322 0.903
35 O 0.082 0.693 0.678
36 O 0.082 0.889 0.403
37 O 0.097 0.611 0.418
38 O 0.097 0.985 0.678
39 O 0.111 0.015 0.193
40 O 0.111 0.597 0.918
41 O 0.178 0.193 0.582
42 O 0.178 0.485 0.597
43 O 0.193 0.111 0.015
44 O 0.193 0.582 0.178
45 O 0.307 0.322 0.918
46 O 0.307 0.485 0.389
47 O 0.322 0.903 0.015
48 O 0.322 0.918 0.307
49 O 0.389 0.307 0.485
50 O 0.389 0.582 0.903
51 O 0.403 0.082 0.889
52 O 0.403 0.822 0.515
53 O 0.418 0.097 0.611
54 O 0.418 0.822 0.807
55 O 0.485 0.389 0.307
56 O 0.485 0.597 0.178
57 O 0.515 0.403 0.822
58 O 0.515 0.611 0.693
59 O 0.582 0.178 0.193
60 O 0.582 0.903 0.389
61 O 0.597 0.178 0.485
62 O 0.597 0.918 0.111
63 O 0.611 0.418 0.097
64 O 0.611 0.693 0.515
65 O 0.678 0.082 0.693
66 O 0.678 0.097 0.985
67 O 0.693 0.515 0.611
68 O 0.693 0.678 0.082
69 O 0.807 0.418 0.822
70 O 0.807 0.889 0.985
71 O 0.822 0.515 0.403
72 O 0.822 0.807 0.418
73 O 0.889 0.403 0.082
74 O 0.889 0.985 0.807
75 O 0.903 0.015 0.322
76 O 0.903 0.389 0.582
77 O 0.918 0.111 0.597
78 O 0.918 0.307 0.322
79 O 0.985 0.678 0.097
80 O 0.985 0.807 0.889

Output
SG = Ia-3d
total energy = -5.656 eV/atom
ΔE_f = -33.2 eV/f.u.

Below is crystalline FeOF at its relaxed geometry, with properties calculated at the GGA+U level.

a = 4.751 Å, b = 3.122 Å, c = 9.437 Å
α = 90.00°, β = 90.11°, γ = 90.00°
Positions (direct):
1 Fe 0.000 0.000 0.000
2 Fe 0.002 0.000 0.501
3 Fe 0.508 0.500 0.711
4 Fe 0.573 0.500 0.250
5 O 0.322 0.000 0.639
6 O 0.731 0.000 0.337
7 O 0.829 0.500 0.588
8 O 0.830 0.500 0.083
9 F 0.220 0.500 0.895
10 F 0.224 0.500 0.384
11 F 0.331 0.000 0.140
12 F 0.719 0.000 0.837

Output
SG = Pm
total energy = -6.054 eV/atom
maximum piezoelectric response = 0.96 C/m2
ΔE_f = -6.2 eV/f.u.

Below is crystalline MgMn6O10F2 at its relaxed geometry, with properties calculated at the GGA+U level.

a = 5.781 Å, b = 5.892 Å, c = 7.636 Å
α = 105.30°, β = 99.89°, γ = 114.07°
Positions (direct):
1 Mg 0.000 0.000 0.000
2 Mn 0.343 0.516 0.353
3 Mn 0.359 0.877 0.796
4 Mn 0.654 0.085 0.224
5 Mn 0.691 0.495 0.664
6 Mn 0.990 0.506 0.005
7 Mn 0.996 0.923 0.458
8 O 0.035 0.151 0.298
9 O 0.084 0.633 0.285
10 O 0.279 0.867 0.039
11 O 0.428 0.622 0.617
12 O 0.592 0.376 0.392
13 O 0.630 0.843 0.364
14 O 0.726 0.140 0.983
15 O 0.741 0.618 0.937
16 O 0.939 0.385 0.740
17 O 0.982 0.829 0.694
18 F 0.262 0.374 0.057
19 F 0.390 0.137 0.631

Output
SG = P1
total energy = -6.936 eV/atom
ΔE_f = -39.7 eV/f.u.
relative energy among the computed polymorphs = 3.9 kJ per mole of atoms

Below is crystalline LiFe4B4O12 at its relaxed geometry, with properties calculated at the GGA+U level.

a = 5.233 Å, b = 9.180 Å, c = 10.124 Å
α = 89.15°, β = 89.77°, γ = 88.90°
Positions (direct):
1 Li 0.000 0.000 0.000
2 Li 0.340 0.339 0.247
3 Fe 0.008 0.662 0.471
4 Fe 0.024 0.335 0.967
5 Fe 0.339 0.999 0.224
6 Fe 0.345 0.668 0.719
7 Fe 0.509 0.823 0.969
8 Fe 0.511 0.158 0.472
9 Fe 0.845 0.510 0.218
10 Fe 0.850 0.169 0.724
11 B 0.001 0.333 0.466
12 B 0.013 0.673 0.972
13 B 0.340 0.661 0.218
14 B 0.353 0.996 0.722
15 B 0.509 0.833 0.472
16 B 0.517 0.158 0.969
17 B 0.842 0.174 0.219
18 B 0.845 0.496 0.717
19 O 0.006 0.604 0.666
20 O 0.091 0.661 0.270
21 O 0.099 0.019 0.734
22 O 0.255 0.306 0.445
23 O 0.261 0.671 0.919
24 O 0.348 0.725 0.522
25 O 0.385 0.283 0.982
26 O 0.397 0.964 0.430
27 O 0.406 0.023 0.005
28 O 0.431 0.787 0.162
29 O 0.470 0.865 0.765
30 O 0.484 0.534 0.226
31 O 0.510 0.104 0.668
32 O 0.590 0.520 0.723
33 O 0.592 0.176 0.270
34 O 0.764 0.810 0.464
35 O 0.773 0.153 0.923
36 O 0.848 0.227 0.524
37 O 0.872 0.800 0.969
38 O 0.887 0.465 0.424
39 O 0.919 0.546 0.026
40 O 0.954 0.310 0.187
41 O 0.957 0.366 0.760
42 O 0.974 0.050 0.195

Output
SG = P1
total energy = -7.211 eV/atom
ΔE_f = -46.8 eV/f.u.
relative energy among the computed polymorphs = 0.4 kJ per mole of atoms

Below is crystalline Li4Nb2Cr3Ni3O16 at its relaxed geometry, with properties calculated at the GGA+U level.

a = 5.927 Å, b = 5.934 Å, c = 9.659 Å
α = 90.27°, β = 90.10°, γ = 119.77°
Positions (direct):
1 Li 0.000 0.000 0.000
2 Li 0.004 0.003 0.495
3 Li 0.319 0.663 0.404
4 Li 0.665 0.339 0.905
5 Nb 0.332 0.662 0.005
6 Nb 0.680 0.344 0.501
7 Cr 0.172 0.343 0.721
8 Cr 0.184 0.841 0.727
9 Cr 0.345 0.172 0.231
10 Ni 0.659 0.831 0.717
11 Ni 0.823 0.169 0.217
12 Ni 0.824 0.659 0.217
13 O 0.012 0.002 0.810
14 O 0.012 0.008 0.304
15 O 0.036 0.525 0.845
16 O 0.171 0.335 0.099
17 O 0.174 0.841 0.098
18 O 0.307 0.664 0.613
19 O 0.334 0.168 0.604
20 O 0.470 0.967 0.844
21 O 0.472 0.518 0.846
22 O 0.496 0.033 0.350
23 O 0.496 0.466 0.352
24 O 0.632 0.320 0.114
25 O 0.668 0.837 0.094
26 O 0.837 0.168 0.597
27 O 0.840 0.674 0.598
28 O 0.951 0.477 0.350

Output
SG = P1
total energy = -6.797 eV/atom
ΔE_f = -61.6 eV/f.u.
relative energy among the computed polymorphs = 0.0 kJ per mole of atoms

- The lowest ΔE_f belongs to which entry?
  Li4Nb2Cr3Ni3O16

Copy entry 7 word for word.
Below is crystalline LiFe4B4O12 at its relaxed geometry, with properties calculated at the GGA+U level.

a = 5.233 Å, b = 9.180 Å, c = 10.124 Å
α = 89.15°, β = 89.77°, γ = 88.90°
Positions (direct):
1 Li 0.000 0.000 0.000
2 Li 0.340 0.339 0.247
3 Fe 0.008 0.662 0.471
4 Fe 0.024 0.335 0.967
5 Fe 0.339 0.999 0.224
6 Fe 0.345 0.668 0.719
7 Fe 0.509 0.823 0.969
8 Fe 0.511 0.158 0.472
9 Fe 0.845 0.510 0.218
10 Fe 0.850 0.169 0.724
11 B 0.001 0.333 0.466
12 B 0.013 0.673 0.972
13 B 0.340 0.661 0.218
14 B 0.353 0.996 0.722
15 B 0.509 0.833 0.472
16 B 0.517 0.158 0.969
17 B 0.842 0.174 0.219
18 B 0.845 0.496 0.717
19 O 0.006 0.604 0.666
20 O 0.091 0.661 0.270
21 O 0.099 0.019 0.734
22 O 0.255 0.306 0.445
23 O 0.261 0.671 0.919
24 O 0.348 0.725 0.522
25 O 0.385 0.283 0.982
26 O 0.397 0.964 0.430
27 O 0.406 0.023 0.005
28 O 0.431 0.787 0.162
29 O 0.470 0.865 0.765
30 O 0.484 0.534 0.226
31 O 0.510 0.104 0.668
32 O 0.590 0.520 0.723
33 O 0.592 0.176 0.270
34 O 0.764 0.810 0.464
35 O 0.773 0.153 0.923
36 O 0.848 0.227 0.524
37 O 0.872 0.800 0.969
38 O 0.887 0.465 0.424
39 O 0.919 0.546 0.026
40 O 0.954 0.310 0.187
41 O 0.957 0.366 0.760
42 O 0.974 0.050 0.195

Output
SG = P1
total energy = -7.211 eV/atom
ΔE_f = -46.8 eV/f.u.
relative energy among the computed polymorphs = 0.4 kJ per mole of atoms

- total energy of number 7 (LiFe4B4O12)?
  -7.211 eV/atom

- The highest ΔE_f belongs to which entry?
  FeOF